No. 1
Crystalline Rb2HgSbI6 at its relaxed geometry. Source: the Materials Project, functional PBE.

Summary:
Calculated total energy   -2.32 eV/atom

Cell: 8.7085 8.7085 8.7085 Å, 60.00 60.00 60.00°
Sites, in units of the cell vectors:
I  0.7542  0.2458  0.7542
I  0.2458  0.7542  0.2458
I  0.2458  0.2458  0.7542
I  0.7542  0.2458  0.2458
I  0.2458  0.7542  0.7542
I  0.7542  0.7542  0.2458
Rb  0.7500  0.7500  0.7500
Rb  0.2500  0.2500  0.2500
Sb  0.0000  0.0000  0.0000
Hg  0.5000  0.5000  0.5000



No. 2
Crystalline Hg3S2I2 at its relaxed geometry. Source: the Materials Project, functional PBE.

Summary:
Calculated total energy   -1.97 eV/atom

Cell: 11.9840 11.9840 11.9840 Å, 131.86 130.55 71.49°
Sites, in units of the cell vectors:
S  0.6331  0.8758  0.7584
S  0.3826  0.6253  0.7584
S  0.6174  0.3747  0.2416
S  0.1331  0.3747  0.7573
S  0.3669  0.1242  0.2416
S  0.8669  0.6253  0.2427
S  0.8826  0.1242  0.7573
S  0.1174  0.8758  0.2427
Hg  0.1161  0.1594  0.0434
Hg  0.0209  0.7520  0.2729
Hg  0.8839  0.8406  0.9566
Hg  0.6161  0.5727  0.9566
Hg  0.9791  0.2480  0.7271
Hg  0.6490  0.1490  0.0000
Hg  0.1490  0.1490  0.5000
Hg  0.8510  0.8510  0.5000
Hg  0.4791  0.7520  0.7311
Hg  0.5209  0.2480  0.2689
Hg  0.3839  0.4273  0.0434
Hg  0.3510  0.8510  0.0000
I  0.9993  0.2562  0.2568
I  0.2500  0.5061  0.2561
I  0.5007  0.7575  0.2568
I  0.2500  0.9787  0.7287
I  0.4993  0.2425  0.7432
I  0.7500  0.0213  0.2713
I  0.0007  0.7438  0.7432
I  0.7500  0.4939  0.7439



No. 3
Crystalline Hg5Sb2I6 at its relaxed geometry. Source: the Materials Project, functional PBE.

Summary:
Calculated total energy   -1.69 eV/atom

Cell: 8.4324 11.2835 21.8960 Å, 90.00 90.00 90.00°
Sites, in units of the cell vectors:
Hg  0.0820  0.9003  0.6110
Hg  0.1568  0.6591  0.7697
Hg  0.2367  0.6415  0.4793
Hg  0.5820  0.4003  0.8890
Hg  0.6568  0.1591  0.7303
Hg  0.2633  0.6415  0.9793
Hg  0.4180  0.9003  0.1110
Hg  0.8432  0.1591  0.2303
Hg  0.9077  0.7720  0.1753
Hg  0.0503  0.0046  0.3973
Hg  0.7367  0.1415  0.0207
Hg  0.9497  0.5046  0.6027
Hg  0.3432  0.6591  0.2697
Hg  0.7633  0.1415  0.5207
Hg  0.4497  0.0046  0.8973
Hg  0.5923  0.7720  0.6753
Hg  0.4077  0.2720  0.3247
Hg  0.9180  0.4003  0.3890
Hg  0.5503  0.5046  0.1027
Hg  0.0923  0.2720  0.8247
Sb  0.2293  0.5121  0.0851
Sb  0.2245  0.7241  0.1589
Sb  0.7245  0.2241  0.3411
Sb  0.7755  0.2241  0.8411
Sb  0.2755  0.7241  0.6589
Sb  0.7293  0.0121  0.4149
Sb  0.7707  0.0121  0.9149
Sb  0.2707  0.5121  0.5851
I  0.7067  0.7839  0.0591
I  0.7390  0.5083  0.7041
I  0.7149  0.4110  0.5116
I  0.7610  0.5083  0.2041
I  0.4920  0.1445  0.1192
I  0.2149  0.9110  0.9884
I  0.8082  0.8823  0.7526
I  0.5080  0.6445  0.8808
I  0.9920  0.6445  0.3808
I  0.9954  0.1128  0.1227
I  0.5046  0.1128  0.6227
I  0.2933  0.2839  0.9409
I  0.2610  0.0083  0.2959
I  0.2851  0.9110  0.4884
I  0.3082  0.3823  0.7474
I  0.0080  0.1445  0.6192
I  0.4954  0.6128  0.3773
I  0.7851  0.4110  0.0116
I  0.2067  0.2839  0.4409
I  0.6918  0.8823  0.2526
I  0.2390  0.0083  0.7959
I  0.7933  0.7839  0.5591
I  0.1918  0.3823  0.2474
I  0.0046  0.6128  0.8773



No. 4
Crystalline Hg3Se2I2 at its relaxed geometry. Source: the Materials Project, functional PBE.

Summary:
ΔE to the lowest computed polymorph   0 meV/atom

Cell: 12.2737 12.2737 12.2737 Å, 132.09 131.52 70.54°
Sites, in units of the cell vectors:
Hg  0.0295  0.7451  0.2746
Hg  0.6167  0.6666  0.0499
Hg  0.3488  0.3488  0.5000
Hg  0.1512  0.6512  0.0000
Hg  0.3833  0.3334  0.9501
Hg  0.6512  0.6512  0.5000
Hg  0.4705  0.7451  0.7156
Hg  0.8833  0.9331  0.0499
Hg  0.8488  0.3488  0.0000
Hg  0.5295  0.2549  0.2844
Hg  0.1167  0.0669  0.9501
Hg  0.9705  0.2549  0.7254
Se  0.6250  0.8837  0.7535
Se  0.8750  0.6285  0.2587
Se  0.3698  0.6285  0.7535
Se  0.3750  0.1163  0.2465
Se  0.1250  0.3715  0.7413
Se  0.1302  0.8837  0.2587
Se  0.6302  0.3715  0.2465
Se  0.8698  0.1163  0.7413
I  0.2500  0.9971  0.7471
I  0.7500  0.0029  0.2529
I  0.0008  0.2553  0.2545
I  0.4992  0.7537  0.2545
I  0.2500  0.5158  0.2658
I  0.7500  0.4842  0.7342
I  0.5008  0.2463  0.7455
I  0.9992  0.7447  0.7455



No. 5
Crystalline Hg3Se2I2 at its relaxed geometry. Source: the Materials Project, functional PBE.

Summary:
ΔE to the lowest computed polymorph   5 meV/atom

Cell: 11.1856 11.1856 11.2629 Å, 66.47 66.47 52.99°
Sites, in units of the cell vectors:
Hg  0.2215  0.2215  0.7344
Hg  0.9345  0.9345  0.7239
Hg  0.7785  0.7785  0.2656
Hg  0.6661  0.1776  0.2963
Hg  0.1776  0.6661  0.2963
Hg  0.3910  0.8571  0.0020
Hg  0.3339  0.8224  0.7037
Hg  0.8571  0.3910  0.0020
Hg  0.0655  0.0655  0.2761
Hg  0.1429  0.6090  0.9980
Hg  0.6090  0.1429  0.9980
Hg  0.8224  0.3339  0.7037
Se  0.8046  0.3160  0.2565
Se  0.0618  0.5500  0.2520
Se  0.9382  0.4500  0.7480
Se  0.3160  0.8046  0.2565
Se  0.6840  0.1954  0.7435
Se  0.1954  0.6840  0.7435
Se  0.5500  0.0618  0.2520
Se  0.4500  0.9382  0.7480
I  0.7459  0.7459  0.0096
I  0.1221  0.1221  0.5031
I  0.0000  0.0000  0.0000
I  0.5000  0.5000  0.0000
I  0.2541  0.2541  0.9904
I  0.6228  0.6228  0.5033
I  0.3772  0.3772  0.4967
I  0.8779  0.8779  0.4969



No. 6
Crystalline Tl4HgI6 at its relaxed geometry. Source: the Materials Project, functional PBE.

Summary:
Calculated total energy   -2.28 eV/atom

Cell: 9.6160 9.6160 9.5131 Å, 90.00 90.00 90.00°
Sites, in units of the cell vectors:
Tl  0.6504  0.8496  0.7500
Tl  0.3496  0.1504  0.2500
Tl  0.1504  0.6504  0.2500
Tl  0.8496  0.3496  0.7500
Tl  0.8496  0.3496  0.2500
Tl  0.1504  0.6504  0.7500
Tl  0.6504  0.8496  0.2500
Tl  0.3496  0.1504  0.7500
I  0.8595  0.6756  0.0000
I  0.3244  0.8595  0.0000
I  0.1405  0.3244  0.0000
I  0.3595  0.8244  0.5000
I  0.0000  0.0000  0.7114
I  0.5000  0.5000  0.2114
I  0.0000  0.0000  0.2886
I  0.1756  0.3595  0.5000
I  0.5000  0.5000  0.7886
I  0.6405  0.1756  0.5000
I  0.6756  0.1405  0.0000
I  0.8244  0.6405  0.5000
Hg  0.5000  0.5000  0.5000
Hg  0.0000  0.0000  0.0000



No. 7
Crystalline InHg3 at its relaxed geometry. Source: the Materials Project, functional PBE.

Summary:
Calculated total energy   -0.90 eV/atom

Cell: 3.2657 3.2657 11.3795 Å, 90.00 90.00 109.46°
Sites, in units of the cell vectors:
Hg  0.0000  0.5000  0.7492
Hg  0.5000  0.0000  0.2508
Hg  0.0000  0.0000  0.0000
In  0.5000  0.5000  0.5000



No. 8
Crystalline InHg at its relaxed geometry. Source: the Materials Project, functional PBE.

Summary:
Calculated total energy   -1.52 eV/atom

Cell: 5.0010 5.0010 5.0010 Å, 44.19 44.19 44.19°
Sites, in units of the cell vectors:
Hg  0.0000  0.0000  0.0000
In  0.5000  0.5000  0.5000